Li9Mn2Co5O16 | Materials Project | PBE with a Hubbard U | optimized geometry; E_form = -1807.2 meV per atom; energy relative to the lowest polymorph listed for this composition = 57 meV/atom; ρ = 4.075 g cm⁻³; SG = No. 2; total energy = -185.5 eV for the cell shown
1.0
2.977 0.000 0.000
-0.017 10.117 0.000
-0.021 -3.166 9.783
Li Mn Co O
9 2 5 16
direct
0.000 0.000 0.000 Li
0.005 0.240 0.240 Li
0.015 0.246 0.751 Li
0.492 0.506 0.756 Li
0.499 0.003 0.766 Li
0.501 0.997 0.234 Li
0.508 0.494 0.244 Li
0.985 0.754 0.249 Li
0.995 0.760 0.760 Li
0.000 0.500 0.000 Mn
0.000 0.500 0.500 Mn
0.000 0.000 0.500 Co
0.490 0.754 0.499 Co
0.498 0.767 0.995 Co
0.502 0.233 0.005 Co
0.510 0.246 0.501 Co
0.003 0.139 0.883 O
0.003 0.376 0.110 O
0.008 0.123 0.386 O
0.009 0.377 0.612 O
0.480 0.620 0.610 O
0.496 0.872 0.385 O
0.497 0.865 0.877 O
0.500 0.391 0.892 O
0.500 0.609 0.108 O
0.503 0.135 0.123 O
0.504 0.128 0.615 O
0.520 0.380 0.390 O
0.991 0.623 0.388 O
0.992 0.877 0.614 O
0.997 0.624 0.890 O
0.997 0.861 0.117 O



LaMgCrNiO6 | Materials Project | PBE with a Hubbard U | optimized geometry; E_form = -2392.1 meV per atom; ρ = 5.542 g cm⁻³; SG = No. 7; total energy = -133.8 eV for the cell shown
1.0
5.310 0.000 0.000
0.000 5.434 0.000
-5.290 0.000 7.682
La Mg Cr Ni O
2 2 2 2 12
direct
0.000 0.203 0.000 La
0.000 0.797 0.500 La
0.538 0.305 0.512 Mg
0.538 0.695 0.012 Mg
0.264 0.262 0.751 Cr
0.264 0.738 0.251 Cr
0.762 0.248 0.251 Ni
0.762 0.752 0.751 Ni
0.149 0.228 0.512 O
0.149 0.772 0.012 O
0.420 0.304 0.991 O
0.420 0.696 0.491 O
0.474 0.040 0.307 O
0.474 0.960 0.807 O
0.579 0.468 0.800 O
0.579 0.532 0.300 O
0.890 0.062 0.691 O
0.890 0.938 0.191 O
0.990 0.492 0.194 O
0.990 0.508 0.694 O



PuMo2O8 | Materials Project | PBE with a Hubbard U | optimized geometry; E_form = -2239.9 meV per atom; ρ = 5.197 g cm⁻³; SG = No. 61; total energy = -706.3 eV for the cell shown
1.0
9.709 0.000 0.000
0.000 14.540 0.000
0.000 0.000 10.210
Pu Mo O
8 16 64
direct
0.221 0.113 0.029 Pu
0.221 0.387 0.529 Pu
0.279 0.613 0.029 Pu
0.279 0.887 0.529 Pu
0.721 0.113 0.471 Pu
0.721 0.387 0.971 Pu
0.779 0.613 0.471 Pu
0.779 0.887 0.971 Pu
0.002 0.558 0.776 Mo
0.002 0.942 0.276 Mo
0.181 0.651 0.395 Mo
0.181 0.849 0.895 Mo
0.319 0.151 0.395 Mo
0.319 0.349 0.895 Mo
0.498 0.058 0.776 Mo
0.498 0.442 0.276 Mo
0.502 0.558 0.724 Mo
0.502 0.942 0.224 Mo
0.681 0.651 0.105 Mo
0.681 0.849 0.605 Mo
0.819 0.151 0.105 Mo
0.819 0.349 0.605 Mo
0.998 0.058 0.724 Mo
0.998 0.442 0.224 Mo
0.002 0.155 0.083 O
0.002 0.345 0.583 O
0.093 0.527 0.138 O
0.093 0.973 0.638 O
0.094 0.630 0.893 O
0.094 0.870 0.393 O
0.113 0.124 0.828 O
0.113 0.376 0.328 O
0.119 0.503 0.669 O
0.119 0.997 0.169 O
0.230 0.677 0.230 O
0.230 0.823 0.730 O
0.235 0.231 0.503 O
0.235 0.269 0.003 O
0.238 0.537 0.431 O
0.238 0.963 0.931 O
0.262 0.037 0.431 O
0.262 0.463 0.931 O
0.265 0.731 0.503 O
0.265 0.769 0.003 O
0.270 0.177 0.230 O
0.270 0.323 0.730 O
0.381 0.003 0.669 O
0.381 0.497 0.169 O
0.387 0.624 0.828 O
0.387 0.876 0.328 O
0.406 0.130 0.893 O
0.406 0.370 0.393 O
0.407 0.027 0.138 O
0.407 0.473 0.638 O
0.498 0.655 0.083 O
0.498 0.845 0.583 O
0.502 0.155 0.417 O
0.502 0.345 0.917 O
0.593 0.527 0.362 O
0.593 0.973 0.862 O
0.594 0.630 0.607 O
0.594 0.870 0.107 O
0.613 0.124 0.672 O
0.613 0.376 0.172 O
0.619 0.503 0.831 O
0.619 0.997 0.331 O
0.730 0.677 0.270 O
0.730 0.823 0.770 O
0.735 0.231 0.997 O
0.735 0.269 0.497 O
0.738 0.537 0.069 O
0.738 0.963 0.569 O
0.762 0.037 0.069 O
0.762 0.463 0.569 O
0.765 0.731 0.997 O
0.765 0.769 0.497 O
0.770 0.177 0.270 O
0.770 0.323 0.770 O
0.881 0.003 0.831 O
0.881 0.497 0.331 O
0.887 0.624 0.672 O
0.887 0.876 0.172 O
0.906 0.130 0.607 O
0.906 0.370 0.107 O
0.907 0.027 0.362 O
0.907 0.473 0.862 O
0.998 0.655 0.417 O
0.998 0.845 0.917 O



LiMgCoF6 | Materials Project | PBE with a Hubbard U | optimized geometry; E_form = -2893.2 meV per atom; ρ = 3.387 g cm⁻³; largest piezoelectric modulus = 0.175 C/m2; SG = No. 102; total energy = -87.5 eV for the cell shown
1.0
4.660 0.000 0.000
0.000 4.660 0.000
0.000 0.000 9.218
Li Mg Co F
2 2 2 12
direct
0.000 0.000 0.000 Li
0.500 0.500 0.500 Li
0.000 0.000 0.664 Mg
0.500 0.500 0.164 Mg
0.000 0.000 0.331 Co
0.500 0.500 0.831 Co
0.192 0.192 0.493 F
0.197 0.197 0.172 F
0.211 0.211 0.827 F
0.289 0.711 0.327 F
0.303 0.697 0.672 F
0.308 0.692 0.993 F
0.692 0.308 0.993 F
0.697 0.303 0.672 F
0.711 0.289 0.327 F
0.789 0.789 0.827 F
0.803 0.803 0.172 F
0.808 0.808 0.493 F



Na2Ni4Mo4H5O20 | Materials Project | PBE with a Hubbard U | optimized geometry; E_form = -1424.9 meV per atom; energy relative to the lowest polymorph listed for this composition = 241 meV/atom; ρ = 4.018 g cm⁻³; SG = No. 2; total energy = -198.2 eV for the cell shown
1.0
5.871 0.000 0.000
0.315 7.769 0.000
1.663 1.423 8.966
Na Ni Mo H O
2 4 4 5 20
direct
0.247 0.283 0.251 Na
0.753 0.717 0.749 Na
0.000 0.000 0.000 Ni
0.218 0.713 0.291 Ni
0.500 0.500 0.500 Ni
0.782 0.287 0.709 Ni
0.203 0.361 0.844 Mo
0.310 0.026 0.646 Mo
0.690 0.974 0.354 Mo
0.797 0.639 0.156 Mo
0.000 0.500 0.500 H
0.170 0.738 0.583 H
0.306 0.678 0.891 H
0.694 0.322 0.109 H
0.830 0.262 0.417 H
0.049 0.139 0.768 O
0.082 0.550 0.184 O
0.112 0.843 0.629 O
0.187 0.569 0.488 O
0.188 0.225 0.019 O
0.282 0.858 0.935 O
0.365 0.566 0.846 O
0.395 0.134 0.452 O
0.448 0.292 0.690 O
0.458 0.948 0.822 O
0.542 0.052 0.178 O
0.552 0.708 0.310 O
0.605 0.866 0.548 O
0.635 0.434 0.154 O
0.718 0.142 0.065 O
0.812 0.775 0.981 O
0.813 0.431 0.512 O
0.888 0.157 0.371 O
0.918 0.450 0.816 O
0.951 0.861 0.232 O



Mg3Ni3As4O16 | Materials Project | PBE with a Hubbard U | optimized geometry; E_form = -1924.5 meV per atom; ρ = 4.069 g cm⁻³; SG = No. 14; total energy = -302.7 eV for the cell shown
1.0
8.570 0.000 0.000
0.000 5.145 0.000
-5.726 0.000 14.894
Mg Ni As O
6 6 8 32
direct
0.000 0.000 0.000 Mg
0.000 0.500 0.500 Mg
0.310 0.046 0.289 Mg
0.310 0.454 0.789 Mg
0.690 0.546 0.211 Mg
0.690 0.954 0.711 Mg
0.206 0.511 0.376 Ni
0.206 0.989 0.876 Ni
0.500 0.000 0.500 Ni
0.500 0.500 0.000 Ni
0.794 0.011 0.124 Ni
0.794 0.489 0.624 Ni
0.043 0.010 0.650 As
0.043 0.490 0.150 As
0.417 0.512 0.602 As
0.417 0.988 0.102 As
0.583 0.012 0.898 As
0.583 0.488 0.398 As
0.957 0.510 0.850 As
0.957 0.990 0.350 As
0.013 0.678 0.629 O
0.013 0.822 0.129 O
0.095 0.176 0.573 O
0.095 0.324 0.073 O
0.145 0.616 0.841 O
0.145 0.884 0.341 O
0.198 0.088 0.753 O
0.198 0.412 0.253 O
0.246 0.576 0.508 O
0.246 0.924 0.008 O
0.396 0.591 0.699 O
0.396 0.909 0.199 O
0.425 0.224 0.907 O
0.425 0.276 0.407 O
0.485 0.714 0.895 O
0.485 0.786 0.395 O
0.515 0.214 0.605 O
0.515 0.286 0.105 O
0.575 0.724 0.593 O
0.575 0.776 0.093 O
0.604 0.091 0.801 O
0.604 0.409 0.301 O
0.754 0.076 0.992 O
0.754 0.424 0.492 O
0.802 0.588 0.747 O
0.802 0.912 0.247 O
0.855 0.116 0.659 O
0.855 0.384 0.159 O
0.905 0.676 0.927 O
0.905 0.824 0.427 O
0.987 0.178 0.871 O
0.987 0.322 0.371 O



MoH12C4S2Br2O4 | Materials Project | PBE with a Hubbard U | optimized geometry; E_form = -535.3 meV per atom; ρ = 1.989 g cm⁻³; SG = No. 14; total energy = -509.0 eV for the cell shown
1.0
8.420 0.000 0.000
0.000 13.214 0.000
-8.200 0.000 13.325
Mo H C S Br O
4 48 16 8 8 16
direct
0.195 0.237 0.446 Mo
0.195 0.263 0.946 Mo
0.805 0.737 0.054 Mo
0.805 0.763 0.554 Mo
0.033 0.707 0.398 H
0.033 0.793 0.898 H
0.117 0.708 0.313 H
0.117 0.792 0.813 H
0.141 0.600 0.941 H
0.141 0.900 0.441 H
0.158 0.564 0.584 H
0.158 0.936 0.084 H
0.190 0.608 0.406 H
0.190 0.892 0.906 H
0.194 0.008 0.191 H
0.194 0.492 0.691 H
0.210 0.611 0.851 H
0.210 0.889 0.351 H
0.371 0.561 0.975 H
0.371 0.578 0.703 H
0.371 0.922 0.203 H
0.371 0.939 0.475 H
0.399 0.579 0.206 H
0.399 0.921 0.706 H
0.400 0.156 0.264 H
0.400 0.344 0.764 H
0.435 0.699 0.269 H
0.435 0.801 0.769 H
0.565 0.199 0.231 H
0.565 0.301 0.731 H
0.600 0.656 0.236 H
0.600 0.844 0.736 H
0.601 0.079 0.294 H
0.601 0.421 0.794 H
0.629 0.061 0.525 H
0.629 0.078 0.797 H
0.629 0.422 0.297 H
0.629 0.439 0.025 H
0.790 0.111 0.649 H
0.790 0.389 0.149 H
0.806 0.508 0.309 H
0.806 0.992 0.809 H
0.810 0.108 0.094 H
0.810 0.392 0.594 H
0.842 0.064 0.916 H
0.842 0.436 0.416 H
0.859 0.100 0.559 H
0.859 0.400 0.059 H
0.883 0.208 0.187 H
0.883 0.292 0.687 H
0.967 0.207 0.102 H
0.967 0.293 0.602 H
0.150 0.688 0.389 C
0.150 0.812 0.889 C
0.257 0.615 0.930 C
0.257 0.885 0.430 C
0.261 0.525 0.653 C
0.261 0.975 0.153 C
0.497 0.133 0.241 C
0.497 0.367 0.741 C
0.503 0.633 0.259 C
0.503 0.867 0.759 C
0.739 0.025 0.847 C
0.739 0.475 0.347 C
0.743 0.115 0.570 C
0.743 0.385 0.070 C
0.850 0.188 0.111 C
0.850 0.312 0.611 C
0.347 0.739 0.979 S
0.347 0.761 0.479 S
0.372 0.071 0.121 S
0.372 0.429 0.621 S
0.628 0.571 0.379 S
0.628 0.929 0.879 S
0.653 0.239 0.521 S
0.653 0.261 0.021 S
0.224 0.110 0.852 Br
0.224 0.390 0.352 Br
0.241 0.117 0.586 Br
0.241 0.383 0.086 Br
0.759 0.617 0.914 Br
0.759 0.883 0.414 Br
0.776 0.610 0.648 Br
0.776 0.890 0.148 Br
0.045 0.742 0.116 O
0.045 0.758 0.616 O
0.211 0.144 0.052 O
0.211 0.356 0.552 O
0.240 0.147 0.379 O
0.240 0.353 0.879 O
0.494 0.740 0.450 O
0.494 0.760 0.950 O
0.506 0.240 0.050 O
0.506 0.260 0.550 O
0.760 0.647 0.121 O
0.760 0.853 0.621 O
0.789 0.644 0.448 O
0.789 0.856 0.948 O
0.955 0.242 0.384 O
0.955 0.258 0.884 O